1.
# NaCa2Ti2PS5O24

An optimized crystal structure of NaCa2Ti2PS5O24 (PBE, the Materials Project).

calculated total energy: -709.807 eV/cell
calculated formation energy: -8406 kJ/mol of formula units

Lattice parameters (Å, degrees): 8.921 8.944 23.268 89.32 89.97 120.05
Sites, in units of the cell vectors:
O 0.653 0.127 0.136
Ca 0.665 0.335 0.483
P 0.273 0.986 0.252
S 0.009 0.712 0.752
Ti 0.343 0.676 0.311
O 0.961 0.805 0.093
O 0.451 0.297 0.033
O 0.468 0.337 0.745
Ca 0.335 0.666 0.020
O 0.536 0.873 0.079
O 0.525 0.820 0.760
O 0.321 0.859 0.579
S 0.681 0.050 0.085
O 0.511 0.856 0.360
S 0.615 0.648 0.916
O 0.644 0.127 0.409
Ti 0.999 0.986 0.144
S 0.046 0.674 0.409
Ca 0.333 0.667 0.519
O 0.803 0.837 0.196
O 0.518 0.145 0.923
O 0.138 0.702 0.463
O 0.651 0.535 0.636
Na 0.665 0.331 0.829
O 0.464 0.115 0.636
O 0.841 0.820 0.599
O 0.859 0.282 0.534
Ca 0.666 0.331 0.685
O 0.564 0.860 0.463
O 0.295 0.435 0.462
Na 0.662 0.335 0.332
O 0.179 0.021 0.601
O 0.138 0.464 0.970
Ti 0.994 0.997 0.646
O 0.666 0.130 0.745
O 0.697 0.549 0.253
O 0.192 0.154 0.095
O 0.792 0.786 0.907
S 0.952 0.629 0.085
P 0.717 0.727 0.252
O 0.214 0.195 0.803
O 0.136 0.510 0.862
O 0.872 0.518 0.410
O 0.996 0.205 0.905
Ca 0.663 0.333 0.193
O 0.853 0.377 0.926
O 0.867 0.533 0.746
O 0.132 0.668 0.079
O 0.178 0.704 0.760
O 0.147 0.659 0.360
O 0.025 0.829 0.399
O 0.035 0.820 0.700
O 0.169 0.198 0.397
O 0.381 0.884 0.865
O 0.720 0.579 0.534
S 0.288 0.298 0.751
O 0.997 0.182 0.304
O 0.297 0.474 0.760
S 0.323 0.370 0.409
S 0.368 0.319 0.085
O 0.288 0.818 0.259
Ca 0.998 0.000 0.857
O 0.036 0.209 0.199
S 0.349 0.964 0.916
Na 0.334 0.666 0.165
S 0.698 0.984 0.752
O 0.481 0.356 0.409
O 0.327 0.871 0.969
O 0.624 0.479 0.925
O 0.503 0.619 0.865
O 0.333 0.463 0.080
O 0.702 0.159 0.032
O 0.532 0.712 0.260
O 0.537 0.678 0.578
O 0.805 0.977 0.398
O 0.471 0.346 0.137
O 0.860 0.307 0.251
S 0.965 0.322 0.586
O 0.978 0.159 0.600
O 0.141 0.463 0.578
Ti 0.671 0.328 0.974
S 0.015 0.288 0.252
P 0.040 0.385 0.917
O 0.175 0.001 0.304
O 0.344 0.493 0.359
O 0.846 0.549 0.033
Ti 0.316 0.651 0.810
O 0.846 0.041 0.093
O 0.181 0.218 0.700
O 0.804 0.013 0.802
O 0.984 0.786 0.803
S 0.632 0.957 0.410
Ti 0.002 0.995 0.350
O 0.209 0.001 0.908
O 0.876 0.527 0.137
O 0.420 0.142 0.534
O 0.883 0.348 0.636
O 0.827 0.828 0.304
S 0.354 0.033 0.587
S 0.678 0.644 0.586
O 0.163 0.965 0.197
O 0.175 0.465 0.258
O 0.452 0.144 0.252
O 0.545 0.674 0.969
O 0.786 0.965 0.699



2.
# Na5Ca2Ti2P5SO24

An optimized crystal structure of Na5Ca2Ti2P5SO24 (PBE, the Materials Project).

calculated total energy: -809.961 eV/cell
calculated formation energy: -10624 kJ/mol of formula units

Lattice parameters (Å, degrees): 9.069 9.069 22.309 90.13 89.70 119.82
Sites, in units of the cell vectors:
O 0.203 0.007 0.913
O 0.201 0.007 0.300
O 0.326 0.846 0.567
Ca 0.668 0.335 0.669
O 0.549 0.665 0.969
Ca 0.668 0.340 0.178
O 0.801 0.791 0.308
Ti 0.331 0.676 0.518
O 0.549 0.927 0.358
O 0.666 0.139 0.739
Na 0.704 0.673 0.423
O 0.473 0.336 0.738
P 0.290 0.302 0.748
O 0.699 0.171 0.033
Na 0.367 0.018 0.745
O 0.192 0.992 0.190
O 0.863 0.526 0.739
O 0.290 0.475 0.753
Na 0.306 0.965 0.075
P 0.352 0.978 0.921
Na 0.350 0.661 0.160
O 0.166 0.198 0.693
P 0.674 0.039 0.085
Ti 0.319 0.671 0.819
O 0.842 0.312 0.538
O 0.181 0.019 0.586
O 0.461 0.145 0.246
Na 0.339 0.663 0.662
P 0.624 0.975 0.421
O 0.966 0.816 0.085
O 0.203 0.206 0.426
O 0.654 0.107 0.145
O 0.902 0.549 0.144
P 0.698 0.990 0.749
O 0.523 0.864 0.077
O 0.471 0.301 0.034
P 0.022 0.376 0.921
P 0.003 0.290 0.245
O 0.523 0.818 0.754
P 0.021 0.648 0.422
Na 0.665 0.332 0.835
O 0.801 0.968 0.693
S 0.354 0.376 0.422
P 0.358 0.318 0.085
O 0.525 0.152 0.922
O 0.539 0.711 0.244
O 0.374 0.457 0.362
O 0.183 0.707 0.757
O 0.439 0.337 0.147
O 0.001 0.805 0.429
O 0.160 0.484 0.567
O 0.495 0.840 0.466
O 0.345 0.486 0.469
O 0.970 0.778 0.805
O 0.996 0.189 0.300
Na 0.683 0.323 0.342
O 0.517 0.636 0.860
O 0.336 0.886 0.979
Ti 0.998 0.000 0.647
O 0.691 0.537 0.533
O 0.849 0.379 0.922
Na 0.374 0.375 0.245
Ca 0.001 0.005 0.362
O 0.297 0.836 0.245
O 0.445 0.071 0.644
O 0.475 0.165 0.537
O 0.842 0.487 0.435
Ca 0.329 0.670 0.322
Ti 0.676 0.329 0.494
O 0.183 0.142 0.084
S 0.623 0.647 0.914
O 0.112 0.447 0.979
O 0.169 0.465 0.241
O 0.136 0.502 0.866
O 0.512 0.365 0.430
Na 0.007 0.005 0.505
O 0.222 0.194 0.803
O 0.834 0.821 0.587
Ti 0.670 0.331 0.983
Na 0.640 0.631 0.747
S 0.286 0.996 0.246
O 0.805 0.025 0.804
P 0.665 0.646 0.583
O 0.034 0.830 0.694
Ca 0.004 0.004 0.853
Ca 0.339 0.664 0.014
P 0.959 0.639 0.084
Ti 0.984 0.995 0.142
O 0.848 0.037 0.083
Na 0.998 0.994 0.990
O 0.647 0.154 0.436
P 0.710 0.713 0.250
O 0.363 0.865 0.865
Na 0.985 0.349 0.745
O 0.624 0.481 0.916
O 0.072 0.625 0.358
O 0.621 0.552 0.642
O 0.682 0.532 0.246
O 0.797 0.789 0.910
O 0.791 0.973 0.429
O 0.834 0.528 0.032
O 0.826 0.827 0.195
Na 0.989 0.619 0.251
P 0.984 0.335 0.585
O 0.141 0.673 0.076
P 0.007 0.709 0.749
O 0.004 0.185 0.187
Na 0.030 0.349 0.076
O 0.845 0.312 0.246
O 0.516 0.677 0.565
O 0.987 0.165 0.587
P 0.356 0.027 0.584
Na 0.643 0.008 0.253
O 0.934 0.377 0.645
O 0.988 0.197 0.911
O 0.318 0.461 0.078
O 0.151 0.653 0.468



- What is the calculated formation energy in the first record?
  -8406 kJ/mol of formula units



- Among the records above, which one has the lowest calculated total energy?
  Na5Ca2Ti2P5SO24



- The lowest calculated total energy belongs to which entry?
  Na5Ca2Ti2P5SO24



Copy entry 1 word for word.
# NaCa2Ti2PS5O24

An optimized crystal structure of NaCa2Ti2PS5O24 (PBE, the Materials Project).

calculated total energy: -709.807 eV/cell
calculated formation energy: -8406 kJ/mol of formula units

Lattice parameters (Å, degrees): 8.921 8.944 23.268 89.32 89.97 120.05
Sites, in units of the cell vectors:
O 0.653 0.127 0.136
Ca 0.665 0.335 0.483
P 0.273 0.986 0.252
S 0.009 0.712 0.752
Ti 0.343 0.676 0.311
O 0.961 0.805 0.093
O 0.451 0.297 0.033
O 0.468 0.337 0.745
Ca 0.335 0.666 0.020
O 0.536 0.873 0.079
O 0.525 0.820 0.760
O 0.321 0.859 0.579
S 0.681 0.050 0.085
O 0.511 0.856 0.360
S 0.615 0.648 0.916
O 0.644 0.127 0.409
Ti 0.999 0.986 0.144
S 0.046 0.674 0.409
Ca 0.333 0.667 0.519
O 0.803 0.837 0.196
O 0.518 0.145 0.923
O 0.138 0.702 0.463
O 0.651 0.535 0.636
Na 0.665 0.331 0.829
O 0.464 0.115 0.636
O 0.841 0.820 0.599
O 0.859 0.282 0.534
Ca 0.666 0.331 0.685
O 0.564 0.860 0.463
O 0.295 0.435 0.462
Na 0.662 0.335 0.332
O 0.179 0.021 0.601
O 0.138 0.464 0.970
Ti 0.994 0.997 0.646
O 0.666 0.130 0.745
O 0.697 0.549 0.253
O 0.192 0.154 0.095
O 0.792 0.786 0.907
S 0.952 0.629 0.085
P 0.717 0.727 0.252
O 0.214 0.195 0.803
O 0.136 0.510 0.862
O 0.872 0.518 0.410
O 0.996 0.205 0.905
Ca 0.663 0.333 0.193
O 0.853 0.377 0.926
O 0.867 0.533 0.746
O 0.132 0.668 0.079
O 0.178 0.704 0.760
O 0.147 0.659 0.360
O 0.025 0.829 0.399
O 0.035 0.820 0.700
O 0.169 0.198 0.397
O 0.381 0.884 0.865
O 0.720 0.579 0.534
S 0.288 0.298 0.751
O 0.997 0.182 0.304
O 0.297 0.474 0.760
S 0.323 0.370 0.409
S 0.368 0.319 0.085
O 0.288 0.818 0.259
Ca 0.998 0.000 0.857
O 0.036 0.209 0.199
S 0.349 0.964 0.916
Na 0.334 0.666 0.165
S 0.698 0.984 0.752
O 0.481 0.356 0.409
O 0.327 0.871 0.969
O 0.624 0.479 0.925
O 0.503 0.619 0.865
O 0.333 0.463 0.080
O 0.702 0.159 0.032
O 0.532 0.712 0.260
O 0.537 0.678 0.578
O 0.805 0.977 0.398
O 0.471 0.346 0.137
O 0.860 0.307 0.251
S 0.965 0.322 0.586
O 0.978 0.159 0.600
O 0.141 0.463 0.578
Ti 0.671 0.328 0.974
S 0.015 0.288 0.252
P 0.040 0.385 0.917
O 0.175 0.001 0.304
O 0.344 0.493 0.359
O 0.846 0.549 0.033
Ti 0.316 0.651 0.810
O 0.846 0.041 0.093
O 0.181 0.218 0.700
O 0.804 0.013 0.802
O 0.984 0.786 0.803
S 0.632 0.957 0.410
Ti 0.002 0.995 0.350
O 0.209 0.001 0.908
O 0.876 0.527 0.137
O 0.420 0.142 0.534
O 0.883 0.348 0.636
O 0.827 0.828 0.304
S 0.354 0.033 0.587
S 0.678 0.644 0.586
O 0.163 0.965 0.197
O 0.175 0.465 0.258
O 0.452 0.144 0.252
O 0.545 0.674 0.969
O 0.786 0.965 0.699